A plane-wave DFT calculation with GGA-PBE was carried out for a geometry-optimized ErBH4 structure.

Values from the calculation:
energy relative to the elements: -0.289 eV/atom
V: 267.12 Å³ per cell

a b c (Å): 4.018 11.817 5.625
angles (deg): 90.00 90.00 90.00
Space group Imm2 (No. 44)
Inequivalent atoms, fractional coordinates:
Er 0.000 0.000 0.000 x2
Er 0.000 0.336 0.991 x4
B 0.000 0.000 0.489 x2
B 0.000 0.335 0.492 x4
H 0.000 0.092 0.359 x4
H 0.000 0.242 0.609 x4
H 0.000 0.420 0.630 x4
H 0.243 0.164 0.862 x8
H 0.245 0.500 0.126 x4